No. 1
KSmS2: relaxed, r²SCAN.

a = 7.7057 Å, b = 7.7057 Å, c = 7.7057 Å
α = 31.12°, β = 31.12°, γ = 31.12°
With the nearest neighbours (Å) after each atom.
Positions (direct):
1 K 0.5000 0.5000 0.5000  6 S 3.21
2 Sm 0.0000 0.0000 0.0000  6 S 2.83
3 S 0.7356 0.7356 0.7356  3 Sm 2.83
4 S 0.2644 0.2644 0.2644  3 Sm 2.83

Computed properties:
crystal system: trigonal



No. 2
KSnS4: relaxed, r²SCAN.

a = 10.0652 Å, b = 9.6578 Å, c = 14.6125 Å
α = 68.71°, β = 90.00°, γ = 90.00°
With the nearest neighbours (Å) after each atom.
Positions (direct):
1 K 0.3619 0.8557 0.7973  6 S 3.21-3.37
2 K 0.8619 0.1443 0.7027  6 S 3.21-3.37
3 K 0.6381 0.1443 0.2027  6 S 3.21-3.37
4 K 0.1381 0.8557 0.2973  6 S 3.21-3.37
5 K 0.2729 0.3733 0.5963  8 S 3.36-3.74
6 K 0.7729 0.6267 0.9037  8 S 3.36-3.74
7 K 0.7271 0.6267 0.4037  8 S 3.36-3.74
8 K 0.2271 0.3733 0.0963  8 S 3.36-3.74
9 Sn 0.1731 0.9867 0.9841  4 S 2.41-2.56
10 Sn 0.6731 0.0133 0.5159  4 S 2.41-2.56
11 Sn 0.8269 0.0133 0.0159  4 S 2.41-2.56
12 Sn 0.3269 0.9867 0.4841  4 S 2.41-2.56
13 Sn 0.0001 0.8103 0.5945  6 S 2.56-2.60
14 Sn 0.5001 0.1897 0.9055  6 S 2.56-2.60
15 Sn 0.9999 0.1897 0.4055  6 S 2.56-2.60
16 Sn 0.4999 0.8103 0.0945  6 S 2.56-2.60
17 S 0.2751 0.7446 0.0356  2 Sn 2.41-2.58
18 S 0.7751 0.2554 0.4644  2 Sn 2.41-2.58
19 S 0.7249 0.2554 0.9644  2 Sn 2.41-2.58
20 S 0.2249 0.7446 0.5356  2 Sn 2.41-2.58
21 S 0.0403 0.0800 0.0861  2 Sn 2.41-2.56
22 S 0.5403 0.9200 0.4139  2 Sn 2.41-2.56
23 S 0.9597 0.9200 0.9139  2 Sn 2.41-2.56
24 S 0.4597 0.0800 0.5861  2 Sn 2.41-2.56
25 S 0.8995 0.9352 0.4230  2 Sn 2.56-2.58
26 S 0.3995 0.0648 0.0770  2 Sn 2.56-2.58
27 S 0.1005 0.0648 0.5770  2 Sn 2.56-2.58
28 S 0.6005 0.9352 0.9230  2 Sn 2.56-2.58
29 S 0.0669 0.7112 0.7794  1 S 2.03
30 S 0.5669 0.2888 0.7206  1 S 2.03
31 S 0.9331 0.2888 0.2206  1 S 2.03
32 S 0.4331 0.7112 0.2794  1 S 2.03
33 S 0.2718 0.1531 0.8345  2 Sn 2.41-2.60
34 S 0.7718 0.8469 0.6655  2 Sn 2.41-2.60
35 S 0.7282 0.8469 0.1655  2 Sn 2.41-2.60
36 S 0.2282 0.1531 0.3345  2 Sn 2.41-2.60
37 S 0.1434 0.5059 0.8039  2 S 2.03-2.07
38 S 0.6434 0.4941 0.6961  2 S 2.03-2.07
39 S 0.8566 0.4941 0.1961  2 S 2.03-2.07
40 S 0.3566 0.5059 0.3039  2 S 2.03-2.07
41 S 0.3440 0.5390 0.7719  2 S 2.04-2.07
42 S 0.8440 0.4610 0.7281  2 S 2.04-2.07
43 S 0.6560 0.4610 0.2281  2 S 2.04-2.07
44 S 0.1560 0.5390 0.2719  2 S 2.04-2.07
45 S 0.4404 0.4530 0.9032  1 S 2.04
46 S 0.9404 0.5470 0.5968  1 S 2.04
47 S 0.5596 0.5470 0.0968  1 S 2.04
48 S 0.0596 0.4530 0.4032  1 S 2.04

Computed properties:
crystal system: monoclinic



No. 3
K4Ta2S11: relaxed, r²SCAN.

a = 7.4750 Å, b = 11.5474 Å, c = 11.7749 Å
α = 68.69°, β = 86.31°, γ = 85.16°
With the nearest neighbours (Å) after each atom.
Positions (direct):
1 K 0.2350 0.6534 0.9433  6 S 3.13-3.29
2 K 0.7353 0.3670 0.5077  5 S 3.13-3.31
3 K 0.2647 0.6330 0.4923  5 S 3.13-3.31
4 K 0.4662 0.1918 0.8357  6 S 3.11-3.43
5 K 0.7875 0.9632 0.3882  8 S 3.15-3.51
6 K 0.2125 0.0368 0.6118  8 S 3.15-3.51
7 K 0.5338 0.8082 0.1643  6 S 3.11-3.43
8 K 0.7650 0.3466 0.0567  6 S 3.13-3.29
9 Ta 0.2655 0.3564 0.3386  6 S 2.26-2.51
10 Ta 0.7345 0.6436 0.6614  6 S 2.26-2.51
11 Ta 0.3535 0.1332 0.2008  6 S 2.26-2.51
12 Ta 0.6465 0.8668 0.7992  6 S 2.26-2.51
13 S 0.1642 0.9676 0.2023  1 S 2.09
14 S 0.6114 0.0833 0.1134  1 Ta 2.26
15 S 0.3886 0.9167 0.8866  1 Ta 2.26
16 S 0.2354 0.3397 0.5357  1 Ta 2.26
17 S 0.9391 0.8035 0.6643  1 S 2.07
18 S 0.0609 0.1965 0.3357  1 S 2.07
19 S 0.6588 0.6358 0.9047  1 S 2.08
20 S 0.3412 0.3642 0.0953  1 S 2.08
21 S 0.7093 0.0656 0.6347  1 S 2.09
22 S 0.2907 0.9344 0.3653  1 S 2.09
23 S 0.0412 0.6198 0.7302  1 S 2.07
24 S 0.9588 0.3802 0.2698  1 S 2.07
25 S 0.7390 0.4114 0.7622  1 S 2.09
26 S 0.2610 0.5886 0.2378  1 S 2.09
27 S 0.4953 0.1839 0.3628  2 Ta 2.46-2.51
28 S 0.1832 0.2686 0.0250  1 S 2.08
29 S 0.8358 0.0324 0.7977  1 S 2.09
30 S 0.8168 0.7314 0.9750  1 S 2.08
31 S 0.4872 0.5080 0.7469  1 S 2.09
32 S 0.5128 0.4920 0.2531  1 S 2.09
33 S 0.5047 0.8161 0.6372  2 Ta 2.46-2.51
34 S 0.7646 0.6603 0.4643  1 Ta 2.26

Computed properties:
crystal system: triclinic



In the order shown, the computed energy of formation from the pure elements values come out to -2.14 -0.68 -1.08 eV/atom.
In the order shown, the computed DFT total energy values come out to -60.394 -66.983 -228.067 eV per formula unit.